Below is crystalline Hf9CoMo4 at its relaxed geometry, with properties calculated at the r²SCAN level.

Cell: 8.6569 8.6569 8.3687 Å, 90.00 90.00 120.00°
Space group P6_3/mmc (No. 194)
Unique sites:
Hf (0.0841, 0.5421, 0.2500)
Hf (0.2021, 0.4043, 0.5592)
Co (0.3333, 0.6667, 0.7500)
Mo (0.0000, 0.0000, 0.0000)
Mo (0.1113, 0.2225, 0.2500)

Values from the calculation:
Spin magnetization: 0.00 μB/f.u.



Below is crystalline Ho5SbPd2 at its relaxed geometry, with properties calculated at the r²SCAN level.

Cell: 7.684 7.684 13.552 Å, 90.00 90.00 90.00°
Space group I4/mcm (No. 140)
Unique sites:
Ho (0.000, 0.000, 0.000)
Ho (0.156, 0.344, 0.142)
Sb (0.000, 0.000, 0.250)
Pd (0.137, 0.363, 0.500)

Values from the calculation:
Spin magnetization: 0.00 μB/f.u.



Below is crystalline EuLu2Se4 at its relaxed geometry, with properties calculated at the r²SCAN level.

Cell: 12.372 4.042 14.615 Å, 90.00 90.00 90.00°
Space group Pnma (No. 62)
Unique sites:
Eu (0.240, 0.250, 0.166)
Lu (0.060, 0.250, 0.388)
Lu (0.084, 0.250, 0.903)
Se (0.028, 0.750, 0.785)
Se (0.091, 0.250, 0.576)
Se (0.128, 0.750, 0.031)
Se (0.205, 0.750, 0.330)

Values from the calculation:
Spin magnetization: 7.00 μB/f.u.



Below is crystalline Li4Mn3OF8 at its relaxed geometry, with properties calculated at the r²SCAN level.

Cell: 5.060 10.252 10.336 Å, 97.19 90.27 91.49°
Space group P1 (No. 1)
Unique sites:
Li (0.000, 0.000, 0.000)
Li (0.000, 0.054, 0.728)
Li (0.039, 0.535, 0.455)
Li (0.041, 0.759, 0.842)
Li (0.052, 0.140, 0.259)
Li (0.054, 0.402, 0.177)
Li (0.092, 0.812, 0.590)
Li (0.098, 0.654, 0.086)
Li (0.117, 0.872, 0.328)
Li (0.980, 0.279, 0.930)
Li (0.993, 0.259, 0.526)
Li (0.995, 0.477, 0.735)
Mn (0.492, 0.262, 0.713)
Mn (0.504, 0.067, 0.470)
Mn (0.514, 0.172, 0.055)
Mn (0.522, 0.359, 0.396)
Mn (0.534, 0.923, 0.830)
Mn (0.537, 0.884, 0.126)
Mn (0.540, 0.532, 0.941)
Mn (0.558, 0.606, 0.617)
Mn (0.606, 0.650, 0.314)
O (0.354, 0.247, 0.527)
O (0.358, 0.992, 0.997)
O (0.398, 0.548, 0.440)
F (0.245, 0.491, 0.068)
F (0.288, 0.746, 0.222)
F (0.289, 0.897, 0.484)
F (0.294, 0.275, 0.221)
F (0.304, 0.702, 0.952)
F (0.309, 0.019, 0.283)
F (0.334, 0.270, 0.901)
F (0.334, 0.762, 0.709)
F (0.351, 0.478, 0.747)
F (0.358, 0.057, 0.714)
F (0.741, 0.623, 0.109)
F (0.760, 0.844, 0.297)
F (0.793, 0.376, 0.829)
F (0.797, 0.316, 0.079)
F (0.799, 0.198, 0.377)
F (0.801, 0.622, 0.788)
F (0.814, 0.057, 0.145)
F (0.814, 0.141, 0.618)
F (0.818, 0.842, 0.970)
F (0.839, 0.107, 0.887)
F (0.848, 0.473, 0.310)
F (0.861, 0.431, 0.570)
F (0.865, 0.690, 0.502)
F (0.876, 0.884, 0.720)

Values from the calculation:
Spin magnetization: 15.00 μB/f.u.



Below is crystalline CuMoF6 at its relaxed geometry, with properties calculated at the r²SCAN level.

Cell: 4.920 5.034 5.438 Å, 63.20 89.10 61.28°
Space group P-1 (No. 2)
Unique sites:
Cu (0.000, 0.000, 0.000)
Mo (0.500, 0.000, 0.500)
F (0.120, 0.129, 0.261)
F (0.243, 0.149, 0.750)
F (0.419, 0.462, 0.265)

Values from the calculation:
Spin magnetization: 1.00 μB/f.u.



Below is crystalline CeGaNi at its relaxed geometry, with properties calculated at the r²SCAN level.

Cell: 6.8468 6.8468 3.9683 Å, 90.00 90.00 120.00°
Space group P-62m (No. 189)
Unique sites:
Ce (0.0000, 0.5773, 0.0000)
Ga (0.0000, 0.2347, 0.5000)
Ni (0.0000, 0.0000, 0.0000)
Ni (0.3333, 0.6667, 0.5000)

Values from the calculation:
Spin magnetization: 0.00 μB/f.u.



no.,formation energy from the elements (eV per atom)
1,-0.160
2,-0.851
3,-2.225
4,-2.843
5,-2.358
6,-0.605